[1]
Below is a relaxed Li2CdSb crystal, with properties calculated at the PBE-GGA level.

a b c (Å): 4.8211 4.8211 4.8211
angles (deg): 60.00 60.00 60.00
Closest atoms and distances in Å follow each position.
Fractional coordinates of all 4 atoms:
Sb1 0.5000 0.5000 0.5000  8 Li 2.95
Li1 0.2500 0.2500 0.2500  4 Sb 2.95, 4 Cd 2.95
Li2 0.7500 0.7500 0.7500  4 Cd 2.95, 4 Sb 2.95
Cd1 0.0000 0.0000 0.0000  8 Li 2.95

Values from the calculation:
As for the calculated volume: 79.2 Å³/f.u. The value obtained for the formation energy from the elements is -0.449 eV per atom.


[2]
Below is a relaxed Ba3BeIr2O9 crystal, with properties calculated at the PBE-GGA level.

a b c (Å): 5.6615 5.6615 6.9383
angles (deg): 90.00 90.00 120.00
Closest atoms and distances in Å follow each position.
Fractional coordinates of all 15 atoms:
Ba1 0.3333 0.6667 0.1628  12 O 2.81-2.85
O1 0.1654 0.3307 0.8348  1 Ir 1.99, 1 Be 1.99
O2 0.6693 0.8346 0.8348  1 Ir 1.99, 1 Be 1.99
O3 0.5000 0.0000 0.5000  2 Ir 2.04
Ba2 0.0000 0.0000 0.5000  12 O 2.83
O4 0.8346 0.6693 0.1652  1 Ir 1.99, 1 Be 1.99
O5 0.1654 0.8346 0.8348  1 Ir 1.99, 1 Be 1.99
O6 0.8346 0.1654 0.1652  1 Ir 1.99, 1 Be 1.99
O7 0.0000 0.5000 0.5000  2 Ir 2.04
O8 0.3307 0.1654 0.1652  1 Ir 1.99, 1 Be 1.99
O9 0.5000 0.5000 0.5000  2 Ir 2.04
Ir1 0.3333 0.6667 0.6751  6 O 1.99-2.04
Ba3 0.6667 0.3333 0.8372  12 O 2.81-2.85
Ir2 0.6667 0.3333 0.3249  6 O 1.99-2.04
Be1 0.0000 0.0000 0.0000  6 O 1.99

Values from the calculation:
As for the calculated volume: 192.6 Å³/f.u. The value obtained for the formation energy from the elements is -2.118 eV per atom.


[3]
Below is a relaxed SiAg2O2 crystal, with properties calculated at the PBE-GGA level.

a b c (Å): 4.6606 9.1625 9.1625
angles (deg): 90.00 90.00 90.00
Closest atoms and distances in Å follow each position.
Fractional coordinates of all 20 atoms:
Si1 0.2500 0.2500 0.2500  2 O 1.57
Si2 0.7500 0.7500 0.2500  2 O 1.57
O1 0.0049 0.8614 0.7896  1 Si 1.57
Ag1 0.1626 0.9213 0.3710  3 O 2.51-2.58, 1 Si 2.72, 1 Ag 2.77
Si3 0.2500 0.7500 0.7500  2 O 1.57
Ag2 0.1626 0.0787 0.6290  3 O 2.51-2.58, 1 Si 2.72, 1 Ag 2.77
Ag3 0.3374 0.4213 0.8710  3 O 2.51-2.58, 1 Si 2.72, 1 Ag 2.77
Ag4 0.8374 0.3710 0.0787  3 O 2.51-2.58, 1 Si 2.72, 1 Ag 2.77
Si4 0.7500 0.2500 0.7500  2 O 1.57
Ag5 0.6626 0.1290 0.4213  3 O 2.51-2.58, 1 Si 2.72, 1 Ag 2.77
Ag6 0.8374 0.6290 0.9213  3 O 2.51-2.58, 1 Si 2.72, 1 Ag 2.77
O2 0.0049 0.1386 0.2104  1 Si 1.57
O3 0.4951 0.3614 0.2896  1 Si 1.57
Ag7 0.6626 0.8710 0.5787  3 O 2.51-2.58, 1 Si 2.72, 1 Ag 2.77
Ag8 0.3374 0.5787 0.1290  3 O 2.51-2.58, 1 Si 2.72, 1 Ag 2.77
O4 0.9951 0.7896 0.1386  1 Si 1.57
O5 0.5049 0.7104 0.3614  1 Si 1.57
O6 0.5049 0.2896 0.6386  1 Si 1.57
O7 0.4951 0.6386 0.7104  1 Si 1.57
O8 0.9951 0.2104 0.8614  1 Si 1.57

Values from the calculation:
As for the calculated volume: 97.8 Å³/f.u. The value obtained for the formation energy from the elements is -0.798 eV per atom.


[4]
Below is a relaxed Cs2K2Cd3O5 crystal, with properties calculated at the PBE-GGA level.

a b c (Å): 6.7117 9.4389 9.6084
angles (deg): 65.65 73.91 71.57
Closest atoms and distances in Å follow each position.
Fractional coordinates of all 24 atoms:
Cs1 0.9509 0.4249 0.3510  3 O 2.92-3.06
Cs2 0.6107 0.2880 0.7545  3 O 2.84-3.17
Cd1 0.4012 0.1811 0.4969  4 O 2.22-2.48
O1 0.5643 0.6358 0.7417  2 Cd 2.23-2.32
O2 0.3198 0.9985 0.4049  3 Cd 2.22-2.48
O3 0.2324 0.8781 0.9604  3 Cd 2.22-2.41
O4 0.7676 0.1219 0.0396  3 Cd 2.22-2.41
Cs3 0.0491 0.5751 0.6490  3 O 2.92-3.06
O5 0.1103 0.2529 0.6544  2 Cd 2.22-2.24
K1 0.0568 0.9518 0.6944  4 O 2.78-2.84
Cd2 0.8738 0.8596 0.0916  4 O 2.19-2.41
K2 0.9432 0.0482 0.3056  4 O 2.78-2.84
Cs4 0.3893 0.7120 0.2455  3 O 2.84-3.17
O6 0.8176 0.7177 0.9806  2 Cd 2.19-2.24
Cd3 0.5988 0.8189 0.5031  4 O 2.22-2.48
K3 0.2413 0.5714 0.9771  5 O 2.68-2.97
K4 0.7587 0.4286 0.0229  5 O 2.68-2.97
O7 0.8897 0.7471 0.3456  2 Cd 2.22-2.24
Cd4 0.1262 0.1404 0.9084  4 O 2.19-2.41
O8 0.1824 0.2823 0.0194  2 Cd 2.19-2.24
O9 0.4357 0.3642 0.2583  2 Cd 2.23-2.32
Cd5 0.5675 0.8298 0.8292  4 O 2.24-2.32
Cd6 0.4325 0.1702 0.1708  4 O 2.24-2.32
O10 0.6802 0.0015 0.5951  3 Cd 2.22-2.48

Values from the calculation:
As for the calculated volume: 259.2 Å³/f.u. The value obtained for the formation energy from the elements is -1.399 eV per atom.


[5]
Below is a relaxed Y6PdBr10 crystal, with properties calculated at the PBE-GGA level.

a b c (Å): 7.3648 9.2383 9.2791
angles (deg): 108.19 97.04 105.39
Closest atoms and distances in Å follow each position.
Fractional coordinates of all 17 atoms:
Br1 0.3580 0.4583 0.2743  2 Y 2.83-2.84
Br2 0.0858 0.3710 0.8264  3 Y 2.92-3.03
Br3 0.5480 0.1767 0.9139  4 Y 3.03-3.09
Br4 0.6420 0.5417 0.7257  2 Y 2.83-2.84
Y1 0.3658 0.1385 0.1807  1 Pd 2.73, 5 Br 2.83-3.03
Br5 0.7455 0.9148 0.5383  3 Y 2.92-3.04
Y2 0.0268 0.6966 0.9039  1 Pd 2.73, 4 Br 2.84-3.03
Br6 0.9142 0.6290 0.1736  3 Y 2.92-3.03
Y3 0.1252 0.0444 0.7495  1 Pd 2.71, 4 Br 2.92-3.03
Y4 0.8748 0.9556 0.2505  1 Pd 2.71, 4 Br 2.92-3.03
Br7 0.2131 0.7400 0.6504  3 Y 2.94-3.03
Br8 0.7869 0.2600 0.3496  3 Y 2.94-3.03
Y5 0.9732 0.3034 0.0961  1 Pd 2.73, 4 Br 2.84-3.03
Br9 0.4520 0.8233 0.0861  4 Y 3.03-3.09
Br10 0.2545 0.0852 0.4617  3 Y 2.92-3.04
Pd1 0.0000 0.0000 0.0000  6 Y 2.71-2.73
Y6 0.6342 0.8615 0.8193  1 Pd 2.73, 5 Br 2.83-3.03

Values from the calculation:
As for the calculated volume: 563.6 Å³/f.u. The value obtained for the formation energy from the elements is -1.912 eV per atom.


[6]
Below is a relaxed CeIn2Ni9 crystal, with properties calculated at the PBE-GGA level.

a b c (Å): 8.2727 8.2727 4.8312
angles (deg): 90.00 90.00 90.00
Closest atoms and distances in Å follow each position.
Fractional coordinates of all 24 atoms:
Ni1 0.7049 0.5643 0.5000  8 Ni 2.49-2.70
Ni2 0.7951 0.0643 0.5000  8 Ni 2.49-2.70
In1 0.1235 0.3765 0.0000  12 Ni 2.63-2.84, 1 In 2.89
Ni3 0.2951 0.4357 0.5000  8 Ni 2.49-2.70
Ni4 0.5000 0.0000 0.5000  8 Ni 2.40-2.50
Ni5 0.3239 0.1761 0.2458  7 Ni 2.37-2.54, 1 In 2.63
Ni6 0.0000 0.5000 0.5000  8 Ni 2.40-2.50
Ni7 0.0643 0.2049 0.5000  8 Ni 2.49-2.70
Ni8 0.6761 0.8239 0.2458  7 Ni 2.37-2.54, 1 In 2.63
Ni9 0.8239 0.3239 0.2458  7 Ni 2.37-2.54, 1 In 2.63
Ni10 0.3239 0.1761 0.7542  7 Ni 2.37-2.54, 1 In 2.63
Ni11 0.6761 0.8239 0.7542  7 Ni 2.37-2.54, 1 In 2.63
Ni12 0.9357 0.7951 0.5000  8 Ni 2.49-2.70
In2 0.6235 0.1235 0.0000  12 Ni 2.63-2.84, 1 In 2.89
In3 0.8765 0.6235 0.0000  12 Ni 2.63-2.84, 1 In 2.89
Ni13 0.8239 0.3239 0.7542  7 Ni 2.37-2.54, 1 In 2.63
Ni14 0.5643 0.2951 0.5000  8 Ni 2.49-2.70
Ni15 0.2049 0.9357 0.5000  8 Ni 2.49-2.70
Ni16 0.1761 0.6761 0.2458  7 Ni 2.37-2.54, 1 In 2.63
Ni17 0.1761 0.6761 0.7542  7 Ni 2.37-2.54, 1 In 2.63
Ni18 0.4357 0.7049 0.5000  8 Ni 2.49-2.70
Ce1 0.0000 0.0000 0.0000  16 Ni 3.00-3.27, 4 In 3.28
Ce2 0.5000 0.5000 0.0000  16 Ni 3.00-3.27, 4 In 3.28
In4 0.3765 0.8765 0.0000  12 Ni 2.63-2.84, 1 In 2.89

Values from the calculation:
As for the calculated volume: 165.3 Å³/f.u. The value obtained for the formation energy from the elements is -0.219 eV per atom.


[7]
Below is a relaxed Ca2CdSn crystal, with properties calculated at the PBE-GGA level.

a b c (Å): 5.4518 5.4518 5.4518
angles (deg): 60.00 60.00 60.00
Closest atoms and distances in Å follow each position.
Fractional coordinates of all 4 atoms:
Sn1 0.0000 0.0000 0.0000  8 Ca 3.34
Ca1 0.7500 0.7500 0.7500  4 Cd 3.34, 4 Sn 3.34
Cd1 0.5000 0.5000 0.5000  8 Ca 3.34
Ca2 0.2500 0.2500 0.2500  4 Cd 3.34, 4 Sn 3.34

Values from the calculation:
As for the calculated volume: 114.6 Å³/f.u. The value obtained for the formation energy from the elements is -0.561 eV per atom.


[8]
Below is a relaxed Mg14ZrCd crystal, with properties calculated at the PBE-GGA level.

a b c (Å): 6.4083 6.4083 10.1663
angles (deg): 90.00 90.00 120.00
Closest atoms and distances in Å follow each position.
Fractional coordinates of all 16 atoms:
Mg1 0.3305 0.6609 0.8749  1 Cd 3.12, 1 Zr 3.13, 10 Mg 3.15-3.26
Mg2 0.6640 0.8360 0.1250  10 Mg 3.14-3.26, 2 Zr 3.20
Mg3 0.1720 0.8360 0.1250  10 Mg 3.14-3.26, 2 Zr 3.20
Mg4 0.8391 0.1695 0.8749  1 Cd 3.12, 1 Zr 3.13, 10 Mg 3.15-3.26
Mg5 0.6674 0.3348 0.6250  10 Mg 3.15-3.22, 2 Cd 3.20
Cd1 0.1667 0.3333 0.6250  12 Mg 3.12-3.20
Mg6 0.1652 0.8326 0.6250  10 Mg 3.15-3.22, 2 Cd 3.20
Mg7 0.3305 0.1695 0.3751  1 Cd 3.12, 1 Zr 3.13, 10 Mg 3.15-3.26
Mg8 0.8391 0.1695 0.3751  1 Cd 3.12, 1 Zr 3.13, 10 Mg 3.15-3.26
Mg9 0.8333 0.6667 0.8774  12 Mg 3.14-3.20
Mg10 0.6674 0.8326 0.6250  10 Mg 3.15-3.22, 2 Cd 3.20
Mg11 0.3305 0.1695 0.8749  1 Cd 3.12, 1 Zr 3.13, 10 Mg 3.15-3.26
Mg12 0.8333 0.6667 0.3726  12 Mg 3.14-3.20
Mg13 0.6640 0.3280 0.1250  10 Mg 3.14-3.26, 2 Zr 3.20
Zr1 0.1667 0.3333 0.1250  12 Mg 3.13-3.20
Mg14 0.3305 0.6609 0.3751  1 Cd 3.12, 1 Zr 3.13, 10 Mg 3.15-3.26

Values from the calculation:
As for the calculated volume: 361.6 Å³/f.u. The value obtained for the formation energy from the elements is -0.002 eV per atom.


[9]
Below is a relaxed MgSn2 crystal, with properties calculated at the PBE-GGA level.

a b c (Å): 8.7043 8.7043 5.4205
angles (deg): 90.00 90.00 157.77
Closest atoms and distances in Å follow each position.
Fractional coordinates of all 6 atoms:
Mg1 0.8887 0.1113 0.7500  10 Sn 3.28-3.33, 2 Mg 3.36
Sn1 0.5568 0.4432 0.7500  6 Sn 3.31-3.36, 6 Mg 3.32-3.33
Sn2 0.4432 0.5568 0.2500  6 Sn 3.31-3.36, 6 Mg 3.32-3.33
Mg2 0.1113 0.8887 0.2500  10 Sn 3.28-3.33, 2 Mg 3.36
Sn3 0.2239 0.7761 0.7500  4 Mg 3.28-3.32, 8 Sn 3.31-3.36
Sn4 0.7761 0.2239 0.2500  4 Mg 3.28-3.32, 8 Sn 3.31-3.36

Values from the calculation:
As for the calculated volume: 77.7 Å³/f.u. The value obtained for the formation energy from the elements is 0.008 eV per atom.


[10]
Below is a relaxed BaMg14W crystal, with properties calculated at the PBE-GGA level.

a b c (Å): 6.5351 6.4506 10.3485
angles (deg): 90.00 90.00 119.57
Closest atoms and distances in Å follow each position.
Fractional coordinates of all 16 atoms:
Mg1 0.3400 0.1560 0.3787  9 Mg 3.04-3.41, 1 W 3.14, 1 Ba 3.35
Mg2 0.6394 0.8222 0.1250  1 W 2.96, 6 Mg 3.13-3.26, 1 Ba 3.21
Mg3 0.3400 0.6840 0.8713  9 Mg 3.04-3.41, 1 W 3.14, 1 Ba 3.35
Mg4 0.6624 0.8235 0.6250  10 Mg 3.02-3.34
Mg5 0.1640 0.8320 0.6250  12 Mg 3.13-3.29
Mg6 0.1726 0.3363 0.6250  12 Mg 3.07-3.34
Ba1 0.1299 0.3150 0.1250  10 Mg 3.21-3.35, 2 W 3.25
Mg7 0.8602 0.6801 0.8952  1 W 3.07, 11 Mg 3.13-3.42
W1 0.2011 0.8506 0.1250  8 Mg 2.96-3.14, 2 Ba 3.25
Mg8 0.8241 0.1621 0.3980  7 Mg 3.02-3.26, 1 Ba 3.32
Mg9 0.6394 0.3172 0.1250  1 W 2.96, 6 Mg 3.13-3.26, 1 Ba 3.21
Mg10 0.3400 0.6840 0.3787  9 Mg 3.04-3.41, 1 W 3.14, 1 Ba 3.35
Mg11 0.6624 0.3389 0.6250  10 Mg 3.02-3.34
Mg12 0.8241 0.1621 0.8520  7 Mg 3.02-3.26, 1 Ba 3.32
Mg13 0.3400 0.1560 0.8713  9 Mg 3.04-3.41, 1 W 3.14, 1 Ba 3.35
Mg14 0.8602 0.6801 0.3548  1 W 3.07, 11 Mg 3.13-3.42

Values from the calculation:
As for the calculated volume: 379.4 Å³/f.u. The value obtained for the formation energy from the elements is 0.241 eV per atom.


[11]
Below is a relaxed PmH crystal, with properties calculated at the PBE-GGA level.

a b c (Å): 3.8226 3.8226 6.0492
angles (deg): 90.00 90.00 120.00
Closest atoms and distances in Å follow each position.
Fractional coordinates of all 4 atoms:
Pm1 0.6667 0.3333 0.8824  4 H 2.31-2.36
H1 0.6667 0.3333 0.4927  4 Pm 2.31-2.36
Pm2 0.3333 0.6667 0.3824  4 H 2.31-2.36
H2 0.3333 0.6667 0.9927  4 Pm 2.31-2.36

Values from the calculation:
As for the calculated volume: 38.3 Å³/f.u. The value obtained for the formation energy from the elements is -0.489 eV per atom.


[12]
Below is a relaxed Ce3Ag4Ge4 crystal, with properties calculated at the PBE-GGA level.

a b c (Å): 8.5120 8.5120 8.5120
angles (deg): 149.63 129.64 59.95
Closest atoms and distances in Å follow each position.
Fractional coordinates of all 11 atoms:
Ce1 0.5000 0.0000 0.5000  6 Ge 3.21-3.22
Ce2 0.8727 0.8727 0.0000  6 Ge 3.19-3.20, 6 Ag 3.20-3.34
Ag1 0.1402 0.3331 0.8072  4 Ge 2.63-2.80, 1 Ag 2.79
Ge1 0.2819 0.7819 0.5000  6 Ag 2.74-2.80
Ag2 0.5259 0.3331 0.1928  4 Ge 2.63-2.80, 1 Ag 2.79
Ge2 0.1806 0.5000 0.6806  1 Ge 2.62, 2 Ag 2.63
Ce3 0.1273 0.1273 0.0000  6 Ge 3.19-3.20, 6 Ag 3.20-3.34
Ge3 0.8194 0.5000 0.3194  1 Ge 2.62, 2 Ag 2.63
Ag3 0.4741 0.6669 0.8072  4 Ge 2.63-2.80, 1 Ag 2.79
Ag4 0.8598 0.6669 0.1928  4 Ge 2.63-2.80, 1 Ag 2.79
Ge4 0.7181 0.2181 0.5000  6 Ag 2.74-2.80

Values from the calculation:
As for the calculated volume: 238.2 Å³/f.u. The value obtained for the formation energy from the elements is -0.736 eV per atom.


The lowest formation energy from the elements belongs to which entry? Ba3BeIr2O9


What is the formation energy from the elements in the second record? -2.118 eV per atom